CeNi9Ge4: optimized geometry, GGA-PBE.

Structure (CIF):
```
data_CeNi9Ge4
_chemical_formula_sum 'Ce4 Ni36 Ge16'
_cell_length_a 7.9434
_cell_length_b 7.9434
_cell_length_c 11.7002
_cell_angle_alpha 90.00
_cell_angle_beta 90.00
_cell_angle_gamma 90.00
_symmetry_space_group_name_H-M 'I 4/m c m'
_symmetry_Int_Tables_number 140
_symmetry_space_group_name_Hall '-I 4 2c'
loop_
_atom_site_label
_atom_site_type_symbol
_atom_site_fract_x
_atom_site_fract_y
_atom_site_fract_z
_atom_site_occupancy
Ce1 Ce 0.0000 0.0000 0.2500 1
Ni1 Ni 0.0000 0.5000 0.0000 1
Ni2 Ni 0.0662 0.2036 0.0000 1
Ni3 Ni 0.1228 0.3772 0.1813 1
Ge1 Ge 0.1757 0.3243 0.3778 1
```

Formation energy = -5.6 eV per formula unit
E = -0.215 hartree per atom